Entry 1:
# GGA-PBE Mg16Al12Zn, optimized geometry
data_Mg16Al12Zn
_chemical_formula_sum 'Mg16 Al12 Zn1'
_symmetry_space_group_name_H-M 'P 1'
_symmetry_Int_Tables_number 1
_cell_length_a 9.0643
_cell_length_b 9.0643
_cell_length_c 9.0643
_cell_angle_alpha 109.18
_cell_angle_beta 109.18
_cell_angle_gamma 109.18
loop_
_symmetry_equiv_pos_as_xyz
'x,y,z'
loop_
_atom_site_label
_atom_site_type_symbol
_atom_site_fract_x
_atom_site_fract_y
_atom_site_fract_z
Mg1 Mg 0.0000 0.0000 0.0000
Mg2 Mg 0.0005 0.0005 0.3470
Mg3 Mg 0.0005 0.3470 0.0005
Mg4 Mg 0.0016 0.3206 0.6001
Mg5 Mg 0.0016 0.6001 0.3206
Mg6 Mg 0.2885 0.6874 0.6874
Mg7 Mg 0.3206 0.0016 0.6001
Mg8 Mg 0.3206 0.6001 0.0016
Mg9 Mg 0.3470 0.0005 0.0005
Mg10 Mg 0.4127 0.4127 0.7087
Mg11 Mg 0.4127 0.7087 0.4127
Mg12 Mg 0.6001 0.0016 0.3206
Mg13 Mg 0.6001 0.3206 0.0016
Mg14 Mg 0.6874 0.2885 0.6874
Mg15 Mg 0.6874 0.6874 0.2885
Mg16 Mg 0.7087 0.4127 0.4127
Al1 Al 0.0041 0.6360 0.8191
Al2 Al 0.0041 0.8191 0.6360
Al3 Al 0.1736 0.3612 0.3612
Al4 Al 0.1883 0.1883 0.8131
Al5 Al 0.1883 0.8131 0.1883
Al6 Al 0.3612 0.1736 0.3612
Al7 Al 0.3612 0.3612 0.1736
Al8 Al 0.6360 0.0041 0.8191
Al9 Al 0.6360 0.8191 0.0041
Al10 Al 0.8131 0.1883 0.1883
Al11 Al 0.8191 0.0041 0.6360
Al12 Al 0.8191 0.6360 0.0041
Zn1 Zn 0.6862 0.6862 0.6862
# - ΔH_f (0 K): -22.6 meV/atom
# - Crystal system: trigonal
# - Magnetization: 0.00 μB/f.u.

---

Entry 2:
# GGA-PBE Na3MgSbS4, optimized geometry
data_Na3MgSbS4
_chemical_formula_sum 'Na3 Mg1 Sb1 S4'
_symmetry_space_group_name_H-M 'P 1'
_symmetry_Int_Tables_number 1
_cell_length_a 7.0846
_cell_length_b 7.0846
_cell_length_c 7.0846
_cell_angle_alpha 122.11
_cell_angle_beta 122.11
_cell_angle_gamma 86.38
loop_
_symmetry_equiv_pos_as_xyz
'x,y,z'
loop_
_atom_site_label
_atom_site_type_symbol
_atom_site_fract_x
_atom_site_fract_y
_atom_site_fract_z
Na1 Na 0.0000 0.0000 0.0000
Na2 Na 0.0796 0.5796 0.5000
Na3 Na 0.4204 0.9204 0.5000
Mg1 Mg 0.7500 0.2500 0.5000
Sb1 Sb 0.5000 0.5000 0.0000
S1 S 0.1046 0.1787 0.5173
S2 S 0.4127 0.8954 0.0742
S3 S 0.6614 0.5873 0.4827
S4 S 0.8213 0.3386 0.9258
# - ΔH_f (0 K): -1070.7 meV/atom
# - Crystal system: tetragonal
# - Magnetization: 0.00 μB/f.u.

---

Entry 3:
# GGA-PBE Gd2Si2O7, optimized geometry
data_Gd2Si2O7
_chemical_formula_sum 'Gd8 Si8 O28'
_symmetry_space_group_name_H-M 'P 1'
_symmetry_Int_Tables_number 1
_cell_length_a 6.7244
_cell_length_b 6.7746
_cell_length_c 12.2791
_cell_angle_alpha 94.38
_cell_angle_beta 90.87
_cell_angle_gamma 91.51
loop_
_symmetry_equiv_pos_as_xyz
'x,y,z'
loop_
_atom_site_label
_atom_site_type_symbol
_atom_site_fract_x
_atom_site_fract_y
_atom_site_fract_z
Gd1 Gd 0.0541 0.3295 0.1161
Gd2 Gd 0.1167 0.0907 0.3580
Gd3 Gd 0.3332 0.8277 0.1060
Gd4 Gd 0.3673 0.2259 0.6313
Gd5 Gd 0.6327 0.7741 0.3687
Gd6 Gd 0.6668 0.1723 0.8940
Gd7 Gd 0.8833 0.9093 0.6420
Gd8 Gd 0.9459 0.6705 0.8839
Si1 Si 0.1467 0.6277 0.3831
Si2 Si 0.1530 0.1490 0.8835
Si3 Si 0.3767 0.7293 0.5953
Si4 Si 0.4868 0.6671 0.8241
Si5 Si 0.5132 0.3329 0.1759
Si6 Si 0.6233 0.2707 0.4047
Si7 Si 0.8470 0.8510 0.1165
Si8 Si 0.8533 0.3723 0.6169
O1 O 0.0012 0.9863 0.8167
O2 O 0.0023 0.6695 0.0809
O3 O 0.0350 0.2297 0.5729
O4 O 0.0775 0.4212 0.3153
O5 O 0.2281 0.9080 0.6233
O6 O 0.2387 0.0888 0.0011
O7 O 0.2879 0.7804 0.3155
O8 O 0.2889 0.5780 0.4913
O9 O 0.3005 0.7066 0.9049
O10 O 0.3414 0.2124 0.8116
O11 O 0.3598 0.4901 0.1284
O12 O 0.3792 0.1399 0.2083
O13 O 0.3997 0.5768 0.6953
O14 O 0.4153 0.1730 0.4449
O15 O 0.5847 0.8270 0.5551
O16 O 0.6003 0.4232 0.3047
O17 O 0.6208 0.8601 0.7917
O18 O 0.6402 0.5099 0.8716
O19 O 0.6586 0.7876 0.1884
O20 O 0.6995 0.2934 0.0951
O21 O 0.7111 0.4220 0.5087
O22 O 0.7121 0.2196 0.6845
O23 O 0.7613 0.9112 0.9989
O24 O 0.7719 0.0920 0.3767
O25 O 0.9225 0.5788 0.6847
O26 O 0.9650 0.7703 0.4271
O27 O 0.9977 0.3305 0.9191
O28 O 0.9988 0.0137 0.1833
# - ΔH_f (0 K): -3618.7 meV/atom
# - Crystal system: triclinic
# - Magnetization: 14.00 μB/f.u.

---

Entry 4:
# GGA-PBE MgTl3, optimized geometry
data_MgTl3
_chemical_formula_sum 'Mg2 Tl6'
_symmetry_space_group_name_H-M 'P 1'
_symmetry_Int_Tables_number 1
_cell_length_a 6.8777
_cell_length_b 6.8777
_cell_length_c 5.6364
_cell_angle_alpha 90.00
_cell_angle_beta 90.00
_cell_angle_gamma 120.00
loop_
_symmetry_equiv_pos_as_xyz
'x,y,z'
loop_
_atom_site_label
_atom_site_type_symbol
_atom_site_fract_x
_atom_site_fract_y
_atom_site_fract_z
Mg1 Mg 0.3333 0.6667 0.2500
Mg2 Mg 0.6667 0.3333 0.7500
Tl1 Tl 0.1686 0.3371 0.7500
Tl2 Tl 0.1686 0.8314 0.7500
Tl3 Tl 0.3371 0.1686 0.2500
Tl4 Tl 0.6629 0.8314 0.7500
Tl5 Tl 0.8314 0.1686 0.2500
Tl6 Tl 0.8314 0.6629 0.2500
# - ΔH_f (0 K): 28.7 meV/atom
# - Crystal system: hexagonal

---

Entry 5:
# GGA-PBE In3GaN4, optimized geometry
data_In3GaN4
_chemical_formula_sum 'In6 Ga2 N8'
_symmetry_space_group_name_H-M 'P 1'
_symmetry_Int_Tables_number 1
_cell_length_a 6.9715
_cell_length_b 6.9715
_cell_length_c 5.6681
_cell_angle_alpha 90.00
_cell_angle_beta 90.00
_cell_angle_gamma 120.00
loop_
_symmetry_equiv_pos_as_xyz
'x,y,z'
loop_
_atom_site_label
_atom_site_type_symbol
_atom_site_fract_x
_atom_site_fract_y
_atom_site_fract_z
In1 In 0.1696 0.3392 0.0000
In2 In 0.1696 0.8304 0.0000
In3 In 0.3392 0.1696 0.5000
In4 In 0.6608 0.8304 0.0000
In5 In 0.8304 0.1696 0.5000
In6 In 0.8304 0.6608 0.5000
Ga1 Ga 0.3333 0.6667 0.5003
Ga2 Ga 0.6667 0.3333 0.0003
N1 N 0.1770 0.3539 0.3867
N2 N 0.1770 0.8230 0.3867
N3 N 0.3333 0.6667 0.8470
N4 N 0.3539 0.1770 0.8867
N5 N 0.6461 0.8230 0.3867
N6 N 0.6667 0.3333 0.3470
N7 N 0.8230 0.1770 0.8867
N8 N 0.8230 0.6461 0.8867
# - ΔH_f (0 K): -201.8 meV/atom
# - Crystal system: hexagonal
# - Magnetization: 0.00 μB/f.u.

---

Entry 6:
# GGA-PBE Rb2PbO3, optimized geometry
data_Rb2PbO3
_chemical_formula_sum 'Rb4 Pb2 O6'
_symmetry_space_group_name_H-M 'P 1'
_symmetry_Int_Tables_number 1
_cell_length_a 6.7068
_cell_length_b 6.7068
_cell_length_c 6.1407
_cell_angle_alpha 90.00
_cell_angle_beta 90.00
_cell_angle_gamma 68.53
loop_
_symmetry_equiv_pos_as_xyz
'x,y,z'
loop_
_atom_site_label
_atom_site_type_symbol
_atom_site_fract_x
_atom_site_fract_y
_atom_site_fract_z
Rb1 Rb 0.0185 0.3086 0.0000
Rb2 Rb 0.3086 0.0185 0.5000
Rb3 Rb 0.6914 0.9815 0.0000
Rb4 Rb 0.9815 0.6914 0.5000
Pb1 Pb 0.4067 0.5933 0.9795
Pb2 Pb 0.5933 0.4067 0.4795
O1 O 0.1363 0.8637 0.9343
O2 O 0.3564 0.3834 0.2360
O3 O 0.3834 0.3564 0.7360
O4 O 0.6166 0.6436 0.2360
O5 O 0.6436 0.6166 0.7360
O6 O 0.8637 0.1363 0.4343
# - ΔH_f (0 K): -1553.6 meV/atom
# - Crystal system: orthorhombic
# - Largest piezoelectric modulus: 3.39 C/m²

---

Which of these has the highest ΔH_f (0 K)? MgTl3